10
Lattice="3.626 0.000 0.000 0.000 3.626 0.000 0.000 0.000 14.529" Properties=species:S:1:pos:R:3 comment="TlFe2S2 (PBE, relaxed)" magmom_total_mub_per_fu=5.6 formation_energy_ev_per_atom=-0.501 pbc="T T T"
Tl 0.000 0.000 0.000
Tl 1.813 1.813 7.264
Fe 0.000 1.813 3.632
Fe 0.000 1.813 10.897
Fe 1.813 0.000 3.632
Fe 1.813 0.000 10.897
S 0.000 0.000 5.125
S 0.000 0.000 9.404
S 1.813 1.813 2.140
S 1.813 1.813 12.389


2
Lattice="3.340 0.000 0.000 -1.670 2.892 0.000 0.000 0.000 5.414" Properties=species:S:1:pos:R:3 comment="CdSn (PBE, relaxed)" formation_energy_ev_per_atom=0.086 pbc="T T T"
Cd 0.000 0.000 0.000
Sn 1.670 0.964 2.707


13
Lattice="5.235 0.000 0.000 2.615 4.537 0.000 2.581 1.490 9.659" Properties=species:S:1:pos:R:3 comment="KMgSbP2O8 (PBE, relaxed)" e_above_lowest_polymorph_mev_per_atom=57 magmom_total_mub_per_fu=0.0 formation_energy_ev_per_atom=-2.501 pbc="T T T"
K 0.000 0.000 0.000
Mg 2.620 1.519 5.753
Sb 5.239 3.033 3.675
P 2.622 1.520 1.944
P 7.848 4.542 6.135
O 4.067 4.594 5.537
O 3.529 2.676 2.523
O 2.617 1.522 0.441
O 5.786 4.694 2.523
O 4.468 1.233 5.513
O 7.830 4.540 7.642
O 7.175 3.260 5.514
O 6.404 1.727 2.531


| no. | ρ (Mg/m³) | energy (eV/cell) |
| --- | --- | --- |
| 1 | 6.61 | -58.15 |
| 2 | 7.34 | -4.76 |
| 3 | 2.71 | -84.26 |